No. 1
An optimized crystal structure of NaGaBr4, computed with PBE-GGA.

Lattice parameters (Å, degrees): 14.2389 7.7227 7.7649 90.00 90.00 90.00
Space group Pnma (No. 62)
Symmetry-distinct sites (fractional):
Na 0.1517 0.2500 0.0502 x4
Ga 0.1013 0.7500 0.7984 x4
Br 0.0346 0.2500 0.3721 x4
Br 0.0537 0.7500 0.0903 x4
Br 0.1983 0.5061 0.7388 x8

Calculated formation energy, kJ/mol of formula units: -857


No. 2
An optimized crystal structure of TiAl2V, computed with PBE-GGA.

Lattice parameters (Å, degrees): 2.7563 2.7563 8.0372 90.00 90.00 90.00
Space group P4/mmm (No. 123)
Symmetry-distinct sites (fractional):
Ti 0.0000 0.0000 0.0000 x1
Al 0.5000 0.5000 0.2601 x2
V 0.0000 0.0000 0.5000 x1

Magnetization, μB per formula unit: 0.0
Calculated formation energy, kJ/mol of formula units: -118


No. 3
An optimized crystal structure of CsMg16Al12, computed with PBE-GGA.

Lattice parameters (Å, degrees): 10.7050 10.7050 10.7050 90.00 90.00 90.00
Space group I-43m (No. 217)
Symmetry-distinct sites (fractional):
Cs 0.0000 0.0000 0.0000 x2
Mg 0.0412 0.3591 0.3591 x24
Mg 0.1819 0.1819 0.8181 x8
Al 0.0939 0.0939 0.2837 x24

Magnetization, μB per formula unit: 0.0
Calculated formation energy, kJ/mol of formula units: 150


No. 4
An optimized crystal structure of TbCu2, computed with PBE-GGA.

Lattice parameters (Å, degrees): 4.3186 6.9219 7.3115 90.00 90.00 90.00
Space group Imma (No. 74)
Symmetry-distinct sites (fractional):
Tb 0.0000 0.2500 0.0384 x4
Cu 0.0000 0.0504 0.6652 x8

Calculated formation energy, kJ/mol of formula units: -77